(1)
This record from the Materials Project describes a geometry-optimized LiNi9S10 structure. The functional is PBE-GGA.

energy with MP2020 corrections	-5.37	eV/atom
excess energy over the best structure of this formula in the dataset	0.0	meV/atom
crystal system	monoclinic
total energy	-204.6	eV per cell
formation energy	-601	meV/atom

abc: 5.9983 8.6017 11.6363
angles: 64.18 90.00 90.00
Last column: nearest neighbours and their distance in Å.
Fractional coordinates of all 40 atoms:
Li: 0.0000 0.5000 0.5000  6 S 2.45-2.51, 2 Ni 2.59
Li: 0.5000 0.5000 0.0000  6 S 2.45-2.51, 2 Ni 2.59
Ni: 0.4954 0.5942 0.5972  6 S 2.34-2.47
Ni: 0.0000 0.0000 0.5000  6 S 2.28-2.46
Ni: 0.0073 0.7006 0.6941  6 S 2.30-2.40
Ni: 0.5014 0.7933 0.7992  6 S 2.32-2.44, 1 Li 2.59
Ni: 0.5019 0.0912 0.5982  6 S 2.30-2.50
Ni: 0.0019 0.9088 0.9018  6 S 2.30-2.50
Ni: 0.0014 0.2067 0.7008  6 S 2.32-2.44, 1 Li 2.59
Ni: 0.5073 0.2994 0.8059  6 S 2.30-2.40
Ni: 0.5000 0.0000 0.0000  6 S 2.28-2.46
Ni: 0.9981 0.0912 0.0982  6 S 2.30-2.50
Ni: 0.9954 0.4058 0.9028  6 S 2.34-2.47
Ni: 0.4986 0.2067 0.2008  6 S 2.32-2.44, 1 Li 2.59
Ni: 0.9927 0.2994 0.3059  6 S 2.30-2.40
Ni: 0.0046 0.5942 0.0972  6 S 2.34-2.47
Ni: 0.4927 0.7006 0.1941  6 S 2.30-2.40
Ni: 0.5046 0.4058 0.4028  6 S 2.34-2.47
Ni: 0.9986 0.7933 0.2992  6 S 2.32-2.44, 1 Li 2.59
Ni: 0.4981 0.9088 0.4018  6 S 2.30-2.50
S: 0.1637 0.7671 0.4890  5 Ni 2.28-2.47, 1 Li 2.45
S: 0.6644 0.8355 0.6052  6 Ni 2.34-2.46
S: 0.1758 0.9544 0.6938  6 Ni 2.30-2.50
S: 0.3466 0.3369 0.6069  5 Ni 2.34-2.40, 1 Li 2.51
S: 0.6758 0.0456 0.8062  6 Ni 2.30-2.50
S: 0.8290 0.4426 0.7105  5 Ni 2.30-2.44, 1 Li 2.50
S: 0.1644 0.1645 0.8948  6 Ni 2.34-2.46
S: 0.3290 0.5574 0.7895  5 Ni 2.30-2.44, 1 Li 2.50
S: 0.6637 0.2329 0.0110  5 Ni 2.28-2.47, 1 Li 2.45
S: 0.1534 0.3369 0.1069  5 Ni 2.34-2.40, 1 Li 2.51
S: 0.8466 0.6631 0.8931  5 Ni 2.34-2.40, 1 Li 2.51
S: 0.6710 0.4426 0.2105  5 Ni 2.30-2.44, 1 Li 2.50
S: 0.3363 0.7671 0.9890  5 Ni 2.28-2.47, 1 Li 2.45
S: 0.1710 0.5574 0.2895  5 Ni 2.30-2.44, 1 Li 2.50
S: 0.8356 0.8355 0.1052  6 Ni 2.34-2.46
S: 0.6534 0.6631 0.3931  5 Ni 2.34-2.40, 1 Li 2.51
S: 0.3242 0.9544 0.1938  6 Ni 2.30-2.50
S: 0.8242 0.0456 0.3062  6 Ni 2.30-2.50
S: 0.3356 0.1645 0.3948  6 Ni 2.34-2.46
S: 0.8363 0.2329 0.5110  5 Ni 2.28-2.47, 1 Li 2.45


(2)
This record from the Materials Project describes a geometry-optimized LiNiS2 structure. The functional is PBE-GGA.

energy with MP2020 corrections	-4.86	eV/atom
crystal system	monoclinic
total energy	-36.9	eV per cell
formation energy	-873	meV/atom

abc: 3.4273 5.7832 5.9355
angles: 90.01 90.00 90.00
Last column: nearest neighbours and their distance in Å.
Fractional coordinates of all 8 atoms:
Li: 0.2512 0.5000 0.2500  6 S 2.59, 2 Ni 2.89
Li: 0.7488 0.5000 0.7500  6 S 2.59, 2 Ni 2.89
Ni: 0.7498 0.0000 0.7500  6 S 2.32
Ni: 0.2502 0.0000 0.2500  6 S 2.32
S: 0.2498 0.2110 0.5834  3 Ni 2.32, 3 Li 2.59
S: 0.7502 0.2110 0.0834  3 Ni 2.32, 3 Li 2.59
S: 0.7502 0.7890 0.4166  3 Ni 2.32, 3 Li 2.59
S: 0.2498 0.7890 0.9166  3 Ni 2.32, 3 Li 2.59


(3)
This record from the Materials Project describes a geometry-optimized LiNi2S4 structure. The functional is PBE-GGA.

energy with MP2020 corrections	-4.89	eV/atom
excess energy over the best structure of this formula in the dataset	138.7	meV/atom
crystal system	monoclinic
total energy	-64.4	eV per cell
formation energy	-602	meV/atom

abc: 6.8083 6.8083 6.8421
angles: 124.02 117.19 88.77
Last column: nearest neighbours and their distance in Å.
Fractional coordinates of all 14 atoms:
Li: 0.0000 0.5000 0.0000  6 S 2.42-2.43
Li: 0.0000 0.0000 0.5000  6 S 2.42-2.43
Ni: 0.3846 0.6346 0.7500  4 S 2.16-2.17
Ni: 0.6154 0.3654 0.2500  4 S 2.16-2.17
Ni: 0.5000 0.0000 0.5000  6 S 2.29-2.32
Ni: 0.0000 0.0000 0.0000  6 S 2.29-2.32
S: 0.7535 0.7696 0.5192  3 Ni 2.17-2.32, 1 Li 2.42
S: 0.7504 0.2343 0.9808  3 Ni 2.17-2.32, 1 Li 2.42
S: 0.2401 0.2337 0.0028  2 Ni 2.16-2.29
S: 0.2465 0.2304 0.4808  3 Ni 2.17-2.32, 1 Li 2.42
S: 0.2691 0.7627 0.5028  2 Ni 2.16-2.29
S: 0.2496 0.7657 0.0192  3 Ni 2.17-2.32, 1 Li 2.42
S: 0.7309 0.2373 0.4972  2 Ni 2.16-2.29
S: 0.7599 0.7663 0.9972  2 Ni 2.16-2.29


Question: Which of these has the highest energy with MP2020 corrections?
Answer: LiNiS2